Cr8FeCo2CuS16 | PBE | relaxed

Calculated values
* energy of formation from the pure elements: -24.0 eV per formula unit

a b c (Å): 12.064 12.064 12.064
angles (deg): 33.71 33.71 33.71
Atoms (fractional coordinates):
Cr: 0.749 0.749 0.749
Cr: 0.250 0.250 0.250
Cr: 0.998 0.501 0.501
Cr: 0.498 0.001 0.001
Cr: 0.501 0.998 0.501
Cr: 0.001 0.498 0.001
Cr: 0.501 0.501 0.998
Cr: 0.001 0.001 0.498
Fe: 0.438 0.438 0.438
Co: 0.562 0.562 0.562
Co: 0.938 0.938 0.938
Cu: 0.062 0.062 0.062
S: 0.129 0.129 0.129
S: 0.628 0.628 0.628
S: 0.395 0.863 0.863
S: 0.890 0.366 0.366
S: 0.863 0.395 0.863
S: 0.366 0.890 0.366
S: 0.863 0.863 0.395
S: 0.366 0.366 0.890
S: 0.371 0.371 0.371
S: 0.872 0.872 0.872
S: 0.108 0.635 0.635
S: 0.610 0.134 0.134
S: 0.635 0.108 0.635
S: 0.134 0.610 0.134
S: 0.635 0.635 0.108
S: 0.134 0.134 0.610

=====

Cr6Co2CuSe12 | PBE | relaxed

Calculated values
* energy of formation from the pure elements: -14.4 eV per formula unit

a b c (Å): 6.630 6.630 17.097
angles (deg): 78.33 78.33 32.13
Atoms (fractional coordinates):
Cr: 0.501 0.501 0.241
Cr: 0.167 0.167 0.573
Cr: 0.833 0.833 0.907
Cr: 0.167 0.167 0.093
Cr: 0.833 0.833 0.427
Cr: 0.499 0.499 0.759
Co: 0.667 0.667 0.334
Co: 0.333 0.333 0.666
Cu: 0.000 0.000 0.000
Se: 0.304 0.304 0.324
Se: 0.970 0.970 0.656
Se: 0.645 0.645 0.993
Se: 0.355 0.355 0.007
Se: 0.030 0.030 0.344
Se: 0.696 0.696 0.676
Se: 0.967 0.967 0.152
Se: 0.635 0.635 0.481
Se: 0.302 0.302 0.814
Se: 0.698 0.698 0.186
Se: 0.365 0.365 0.519
Se: 0.033 0.033 0.848

=====

Cr8CoCu3Se16 | PBE | relaxed

Calculated values
* energy of formation from the pure elements: -20.5 eV per formula unit

a b c (Å): 7.373 7.373 10.422
angles (deg): 90.00 90.00 90.00
Atoms (fractional coordinates):
Cr: 0.250 0.500 0.124
Cr: 0.753 0.000 0.625
Cr: 0.750 0.500 0.124
Cr: 0.247 0.000 0.625
Cr: 0.000 0.247 0.375
Cr: 0.500 0.750 0.876
Cr: 0.500 0.250 0.876
Cr: 0.000 0.753 0.375
Co: 0.500 0.500 0.500
Cu: 0.000 0.000 0.000
Cu: 0.500 0.000 0.250
Cu: 0.000 0.500 0.750
Se: 0.762 0.500 0.369
Se: 0.266 0.000 0.867
Se: 0.238 0.500 0.369
Se: 0.734 0.000 0.867
Se: 0.500 0.238 0.631
Se: 0.000 0.734 0.133
Se: 0.500 0.762 0.631
Se: 0.000 0.266 0.133
Se: 0.235 0.000 0.383
Se: 0.735 0.500 0.883
Se: 0.765 0.000 0.383
Se: 0.265 0.500 0.883
Se: 0.500 0.265 0.117
Se: 0.000 0.765 0.617
Se: 0.500 0.735 0.117
Se: 0.000 0.235 0.617